The following is a PBE-GGA calculation of a relaxed DySbRh2 crystal, from Materials Project.

a b c (Å): 4.713 4.713 4.713
angles (deg): 60.00 60.00 60.00
Positions (direct):
Dy  0.000  0.000  0.000
Sb  0.500  0.500  0.500
Rh  0.250  0.250  0.250
Rh  0.750  0.750  0.750

Values from the calculation:
total DFT energy (no corrections) = -6.59 eV per atom
M_tot = 0.00 μB/f.u.